Computed, not measured: CuC2S2N4 after structural relaxation at the PBE level of DFT.

Lattice parameters (Å, degrees): 6.174 8.601 13.839 90.00 90.00 90.00
Element x y z (fractional)
N: 0.259 0.023 0.304
N: 0.248 0.916 0.125
N: 0.252 0.198 0.551
N: 0.252 0.916 0.625
N: 0.247 0.304 0.734
C: 0.757 0.923 0.224
S: 0.761 0.091 0.171
N: 0.759 0.523 0.196
N: 0.752 0.416 0.875
Cu: 0.249 0.111 0.178
C: 0.252 0.790 0.091
C: 0.257 0.423 0.276
N: 0.747 0.804 0.766
Cu: 0.251 0.111 0.678
S: 0.747 0.115 0.950
N: 0.748 0.416 0.375
S: 0.261 0.591 0.329
Cu: 0.749 0.611 0.322
C: 0.748 0.290 0.909
C: 0.248 0.790 0.591
N: 0.241 0.023 0.804
N: 0.741 0.523 0.696
S: 0.753 0.115 0.450
N: 0.753 0.804 0.266
C: 0.243 0.423 0.776
S: 0.239 0.591 0.829
S: 0.253 0.615 0.050
S: 0.739 0.091 0.671
C: 0.743 0.923 0.724
N: 0.248 0.198 0.051
C: 0.752 0.290 0.409
Cu: 0.751 0.611 0.822
S: 0.247 0.615 0.550
N: 0.748 0.698 0.449
N: 0.752 0.698 0.949
N: 0.253 0.304 0.234

## Properties
relative energy among the computed polymorphs	0.006	eV per atom
SG	Pna2_1, No. 33

=====

Computed, not measured: AlNiGe after structural relaxation at the PBE level of DFT.

Lattice parameters (Å, degrees): 3.991 3.991 3.991 60.00 60.00 60.00
Element x y z (fractional)
Al: 0.250 0.250 0.250
Ge: 0.750 0.750 0.750
Ni: 0.000 0.000 0.000

## Properties
energy	-5.125	eV per atom
SG	F-43m, No. 216

=====

Computed, not measured: CsTi3Si2P6O25 after structural relaxation at the PBE level of DFT.

Lattice parameters (Å, degrees): 8.363 8.363 17.529 90.00 90.00 120.00
Element x y z (fractional)
O: 0.446 0.192 0.456
O: 0.118 0.518 0.410
O: 0.133 0.479 0.815
O: 0.808 0.253 0.456
O: 0.654 0.521 0.315
O: 0.170 0.192 0.125
Si: 0.000 0.000 0.909
O: 0.830 0.808 0.875
O: 0.022 0.830 0.125
O: 0.192 0.170 0.625
O: 0.978 0.808 0.625
O: 0.808 0.978 0.125
O: 0.882 0.482 0.590
P: 0.668 0.052 0.109
O: 0.000 0.000 0.000
O: 0.830 0.022 0.625
O: 0.600 0.482 0.910
O: 0.521 0.654 0.815
Ti: 0.667 0.333 0.978
O: 0.022 0.192 0.375
O: 0.554 0.747 0.956
O: 0.882 0.400 0.910
P: 0.052 0.384 0.891
Si: 0.000 0.000 0.091
O: 0.518 0.118 0.910
P: 0.948 0.616 0.109
O: 0.446 0.253 0.044
O: 0.346 0.479 0.685
O: 0.867 0.521 0.185
P: 0.384 0.332 0.109
O: 0.479 0.133 0.315
O: 0.518 0.400 0.590
O: 0.554 0.808 0.544
O: 0.000 0.000 0.500
O: 0.400 0.882 0.410
O: 0.192 0.446 0.956
P: 0.332 0.384 0.609
O: 0.482 0.882 0.090
O: 0.253 0.446 0.544
O: 0.747 0.554 0.456
O: 0.133 0.654 0.685
O: 0.118 0.600 0.090
O: 0.808 0.554 0.044
Ti: 0.667 0.333 0.250
P: 0.616 0.948 0.609
O: 0.482 0.600 0.410
P: 0.668 0.616 0.391
O: 0.747 0.192 0.044
O: 0.479 0.346 0.185
Si: 0.000 0.000 0.409
Cs: 0.667 0.333 0.750
Ti: 0.667 0.333 0.522
O: 0.192 0.747 0.544
O: 0.978 0.170 0.875
Ti: 0.333 0.667 0.478
P: 0.332 0.948 0.891
O: 0.867 0.346 0.315
Ti: 0.333 0.667 0.022
P: 0.948 0.332 0.391
O: 0.192 0.022 0.875
P: 0.616 0.668 0.891
Ti: 0.333 0.667 0.750
Cs: 0.333 0.667 0.250
P: 0.052 0.668 0.609
O: 0.654 0.133 0.185
O: 0.600 0.118 0.590
P: 0.384 0.052 0.391
O: 0.808 0.830 0.375
O: 0.400 0.518 0.090
O: 0.253 0.808 0.956
Si: 0.000 0.000 0.591
O: 0.170 0.978 0.375
O: 0.346 0.867 0.815
O: 0.521 0.867 0.685

## Properties
energy	-7.717	eV per atom
SG	P-31c, No. 163

=====

Computed, not measured: BaSr7Ti8O20 after structural relaxation at the PBE level of DFT.

Lattice parameters (Å, degrees): 11.315 11.283 17.735 108.57 108.46 90.12
Element x y z (fractional)
O: 0.249 0.005 0.258
Sr: 0.557 0.303 0.614
O: 0.372 0.623 0.994
O: 0.813 0.311 0.129
Sr: 0.056 0.804 0.616
O: 0.062 0.081 0.131
O: 0.561 0.081 0.628
Ti: 0.999 0.501 0.501
Ti: 0.998 0.999 0.499
O: 0.370 0.123 0.993
Ti: 0.497 0.000 0.998
Ti: 0.498 0.999 0.499
Sr: 0.190 0.938 0.884
O: 0.434 0.918 0.373
Sr: 0.806 0.556 0.113
O: 0.624 0.377 0.003
Ti: 0.247 0.249 0.999
Ti: 0.624 0.112 0.252
O: 0.223 0.479 0.749
O: 0.313 0.306 0.130
O: 0.722 0.981 0.749
O: 0.433 0.924 0.870
Sr: 0.440 0.695 0.385
O: 0.182 0.201 0.868
O: 0.378 0.379 0.509
O: 0.126 0.878 0.506
O: 0.619 0.122 0.492
Sr: 0.440 0.697 0.884
O: 0.627 0.878 0.507
Sr: 0.806 0.561 0.615
Sr: 0.056 0.305 0.614
Ti: 0.747 0.250 0.998
Sr: 0.942 0.697 0.885
Ti: 0.113 0.611 0.750
O: 0.123 0.876 0.001
O: 0.370 0.621 0.494
O: 0.429 0.414 0.371
Sr: 0.805 0.063 0.615
O: 0.724 0.473 0.251
O: 0.619 0.620 0.993
O: 0.618 0.621 0.491
O: 0.870 0.122 0.493
O: 0.870 0.622 0.495
O: 0.562 0.082 0.131
Sr: 0.190 0.938 0.383
O: 0.933 0.424 0.372
Sr: 0.556 0.804 0.116
O: 0.678 0.199 0.869
O: 0.377 0.877 0.507
O: 0.689 0.207 0.371
O: 0.691 0.703 0.371
O: 0.879 0.880 0.510
O: 0.311 0.799 0.629
O: 0.310 0.294 0.630
Sr: 0.054 0.306 0.114
Ti: 0.866 0.887 0.749
O: 0.500 0.007 0.259
O: 0.870 0.124 0.993
Ti: 0.367 0.889 0.749
O: 0.055 0.568 0.128
Ti: 0.749 0.751 0.501
Ti: 0.499 0.499 0.500
O: 0.565 0.581 0.629
Sr: 0.690 0.442 0.385
O: 0.627 0.378 0.506
O: 0.872 0.376 0.001
Ti: 0.870 0.883 0.252
Ba: 0.308 0.061 0.122
Ti: 0.119 0.116 0.253
Ti: 0.746 0.748 0.998
Ti: 0.498 0.500 0.999
O: 0.622 0.875 0.004
O: 0.998 0.003 0.257
Ti: 0.373 0.888 0.253
O: 0.491 0.511 0.258
O: 0.121 0.374 0.002
Sr: 0.305 0.058 0.613
O: 0.376 0.376 0.003
Sr: 0.939 0.196 0.883
Ti: 0.248 0.750 0.500
O: 0.680 0.698 0.869
Ti: 0.862 0.389 0.749
Ti: 0.248 0.250 0.499
Sr: 0.556 0.803 0.615
Ti: 0.617 0.110 0.749
O: 0.233 0.490 0.253
O: 0.375 0.876 0.002
Sr: 0.689 0.438 0.883
Ti: 0.749 0.251 0.499
O: 0.184 0.208 0.373
Ti: 0.996 0.498 0.998
Sr: 0.191 0.441 0.385
Ba: 0.058 0.809 0.122
O: 0.975 0.525 0.253
O: 0.119 0.123 0.993
Sr: 0.556 0.308 0.115
Ti: 0.996 0.000 0.998
O: 0.872 0.876 0.001
O: 0.471 0.021 0.748
O: 0.973 0.519 0.748
O: 0.222 0.980 0.749
O: 0.812 0.299 0.628
O: 0.369 0.121 0.493
O: 0.878 0.379 0.507
Ti: 0.620 0.612 0.252
Sr: 0.942 0.196 0.384
O: 0.182 0.699 0.372
Sr: 0.690 0.939 0.885
Ba: 0.307 0.563 0.122
O: 0.930 0.914 0.372
O: 0.973 0.016 0.747
O: 0.932 0.421 0.869
O: 0.183 0.697 0.870
O: 0.063 0.580 0.629
Sr: 0.438 0.191 0.384
O: 0.619 0.124 0.994
O: 0.118 0.121 0.491
O: 0.316 0.809 0.130
O: 0.120 0.621 0.993
Ti: 0.370 0.388 0.252
O: 0.808 0.797 0.629
O: 0.431 0.419 0.868
Sr: 0.306 0.563 0.615
O: 0.121 0.623 0.496
Ba: 0.808 0.063 0.121
Sr: 0.690 0.939 0.383
O: 0.930 0.923 0.869
O: 0.867 0.620 0.992
Sr: 0.441 0.195 0.885
O: 0.473 0.517 0.747
Ti: 0.612 0.613 0.749
O: 0.568 0.577 0.130
Ti: 0.365 0.389 0.749
O: 0.742 0.993 0.252
Ti: 0.248 0.750 0.999
O: 0.127 0.379 0.508
Ti: 0.870 0.393 0.251
Sr: 0.942 0.695 0.388
O: 0.723 0.480 0.748
O: 0.066 0.085 0.630
Ti: 0.114 0.110 0.749
Ti: 0.119 0.612 0.252
Sr: 0.192 0.442 0.886
O: 0.810 0.796 0.130

## Properties
energy	-7.760	eV per atom
SG	P1, No. 1

=====

Computed, not measured: SbO2 after structural relaxation at the PBE level of DFT.

Lattice parameters (Å, degrees): 6.756 6.756 6.756 125.07 116.25 89.04
Element x y z (fractional)
O: 0.206 0.690 0.983
Sb: 0.000 0.500 0.000
O: 0.196 0.255 0.940
O: 0.185 0.745 0.440
Sb: 0.500 0.500 0.000
O: 0.815 0.255 0.560
O: 0.804 0.745 0.060
Sb: 0.000 0.500 0.500
O: 0.206 0.223 0.517
Sb: 0.000 0.000 0.500
O: 0.794 0.310 0.017
O: 0.794 0.777 0.483

## Properties
energy	-5.782	eV per atom
SG	Imma, No. 74

=====

Computed, not measured: Dy13Mg7Co4 after structural relaxation at the PBE level of DFT.

Lattice parameters (Å, degrees): 9.445 9.445 9.445 60.43 60.43 60.43
Element x y z (fractional)
Co: 0.584 0.141 0.141
Dy: 0.812 0.188 0.188
Dy: 0.967 0.342 0.342
Dy: 0.188 0.812 0.188
Dy: 0.810 0.189 0.810
Mg: 0.583 0.256 0.583
Co: 0.141 0.584 0.141
Dy: 0.810 0.810 0.189
Dy: 0.562 0.940 0.562
Dy: 0.345 0.345 0.345
Co: 0.140 0.140 0.140
Mg: 0.939 0.559 0.939
Dy: 0.342 0.967 0.342
Mg: 0.256 0.583 0.583
Co: 0.141 0.141 0.584
Dy: 0.189 0.810 0.810
Mg: 0.583 0.583 0.256
Mg: 0.580 0.580 0.580
Dy: 0.188 0.188 0.812
Dy: 0.940 0.562 0.562
Mg: 0.559 0.939 0.939
Dy: 0.562 0.562 0.940
Dy: 0.342 0.342 0.967
Mg: 0.939 0.939 0.559

## Properties
energy	-4.279	eV per atom
SG	R3m, No. 160

=====

Computed, not measured: CaEu2O3 after structural relaxation at the PBE level of DFT.

Lattice parameters (Å, degrees): 6.162 6.162 6.122 80.55 80.55 120.24
Element x y z (fractional)
Eu: 0.583 0.417 0.750
Ca: 0.918 0.082 0.750
Eu: 0.751 0.249 0.250
O: 0.840 0.679 0.000
Eu: 0.417 0.583 0.250
O: 0.000 0.500 0.500
O: 0.500 0.000 0.000
Ca: 0.082 0.918 0.250
O: 0.679 0.840 0.500
Eu: 0.249 0.751 0.750
O: 0.321 0.160 0.500
O: 0.160 0.321 0.000

## Properties
relative energy among the computed polymorphs	0.000	eV per atom
SG	C2/c, No. 15

=====

Computed, not measured: HoOF after structural relaxation at the PBE level of DFT.

Lattice parameters (Å, degrees): 6.698 6.698 6.698 32.98 32.98 32.98
Element x y z (fractional)
O: 0.378 0.378 0.378
Ho: 0.741 0.741 0.741
F: 0.870 0.870 0.870
F: 0.130 0.130 0.130
O: 0.622 0.622 0.622
Ho: 0.259 0.259 0.259

## Properties
energy	-7.712	eV per atom
SG	R-3m, No. 166